Li2Mn4OF8 after structural relaxation, computed with GGA+U.

```
Li2Mn4OF8
1.0
7.065 0.000 0.000
1.470 7.947 0.000
3.480 2.517 7.618
Li Mn O F
4 8 2 16
Direct
0.107 0.267 0.410 Li
0.261 0.765 0.868 Li
0.739 0.235 0.132 Li
0.893 0.733 0.590 Li
0.172 0.406 0.749 Mn
0.291 0.099 0.046 Mn
0.364 0.597 0.266 Mn
0.438 0.875 0.419 Mn
0.562 0.125 0.581 Mn
0.636 0.403 0.734 Mn
0.709 0.901 0.954 Mn
0.828 0.594 0.251 Mn
0.420 0.227 0.783 O
0.580 0.773 0.217 O
0.023 0.238 0.020 F
0.133 0.500 0.231 F
0.187 0.698 0.489 F
0.240 0.087 0.300 F
0.271 0.344 0.503 F
0.334 0.940 0.648 F
0.348 0.838 0.019 F
0.350 0.561 0.798 F
0.650 0.439 0.202 F
0.652 0.162 0.981 F
0.666 0.060 0.352 F
0.729 0.656 0.497 F
0.760 0.913 0.700 F
0.813 0.302 0.511 F
0.867 0.500 0.769 F
0.977 0.762 0.980 F
```

## Properties
**Relative energy among the computed polymorphs**: 0.66 kJ per mole of atoms
**Energy**: -91.796 eV/f.u.
**ΔE_f**: -270.9 kJ per mole of atoms